Material: CaSn2S5
Method: DFT, PBE
State: optimized geometry

a b c (Å): 4.1242 15.7255 6.3644
angles (deg): 90.00 90.00 90.00
Element x y z (fractional)
S 0.2500 0.5745 0.3980
S 0.7500 0.7500 0.4366
S 0.7500 0.6279 0.9788
S 0.7500 0.0745 0.6020
S 0.2500 0.9255 0.3980
S 0.2500 0.3721 0.0212
S 0.7500 0.8721 0.9788
S 0.7500 0.4255 0.6020
S 0.2500 0.1279 0.0212
S 0.2500 0.2500 0.5634
Ca 0.2500 0.7500 0.1111
Ca 0.7500 0.2500 0.8889
Sn 0.2500 0.3953 0.3842
Sn 0.2500 0.1047 0.3842
Sn 0.7500 0.8953 0.6158
Sn 0.7500 0.6047 0.6158

Calculated values
Relative energy among the computed polymorphs in meV per atom: 49
DFT formation energy in eV per atom: -1.000
E_tot in eV per atom: -4.524